[1]
VASP calculation (GGA+U) on a relaxed structure of Na2TiCrP3O12.

Unit cell a=9.8797 b=9.8797 c=9.8797 alpha=90.00 beta=90.00 gamma=90.00
Element x y z (fractional)
Na: 0.9307 0.9307 0.9307
Na: 0.3506 0.8506 0.6494
Na: 0.1494 0.1494 0.1494
Na: 0.0693 0.4307 0.5693
Na: 0.8506 0.6494 0.3506
Na: 0.4307 0.5693 0.0693
Na: 0.5693 0.0693 0.4307
Na: 0.6494 0.3506 0.8506
Ti: 0.1102 0.6102 0.8898
Ti: 0.6102 0.8898 0.1102
Ti: 0.8898 0.1102 0.6102
Ti: 0.3898 0.3898 0.3898
Cr: 0.3371 0.1629 0.8371
Cr: 0.1629 0.8371 0.3371
Cr: 0.8371 0.3371 0.1629
Cr: 0.6629 0.6629 0.6629
P: 0.7912 0.6206 0.9752
P: 0.8794 0.0248 0.2912
P: 0.3794 0.4752 0.7088
P: 0.4752 0.7088 0.3794
P: 0.2912 0.8794 0.0248
P: 0.1206 0.5248 0.2088
P: 0.6206 0.9752 0.7912
P: 0.2088 0.1206 0.5248
P: 0.9752 0.7912 0.6206
P: 0.5248 0.2088 0.1206
P: 0.7088 0.3794 0.4752
P: 0.0248 0.2912 0.8794
O: 0.9448 0.2663 0.0097
O: 0.4448 0.2337 0.9903
O: 0.0552 0.7663 0.4903
O: 0.2337 0.9903 0.4448
O: 0.4903 0.0552 0.7663
O: 0.9903 0.4448 0.2337
O: 0.2663 0.0097 0.9448
O: 0.0097 0.9448 0.2663
O: 0.7663 0.4903 0.0552
O: 0.7337 0.5097 0.5552
O: 0.5097 0.5552 0.7337
O: 0.5552 0.7337 0.5097
O: 0.0170 0.4400 0.8273
O: 0.5170 0.0600 0.1727
O: 0.9830 0.9400 0.6727
O: 0.0600 0.1727 0.5170
O: 0.6727 0.9830 0.9400
O: 0.1727 0.5170 0.0600
O: 0.7691 0.9558 0.2013
O: 0.4400 0.8273 0.0170
O: 0.9400 0.6727 0.9830
O: 0.5600 0.3273 0.4830
O: 0.3273 0.4830 0.5600
O: 0.4830 0.5600 0.3273
O: 0.0442 0.7013 0.7309
O: 0.5442 0.7987 0.2691
O: 0.9558 0.2013 0.7691
O: 0.7987 0.2691 0.5442
O: 0.5944 0.8280 0.7509
O: 0.7509 0.5944 0.8280
O: 0.8280 0.7509 0.5944
O: 0.6720 0.2491 0.0944
O: 0.2509 0.9056 0.1720
O: 0.1720 0.2509 0.9056
O: 0.7491 0.4056 0.3280
O: 0.2491 0.0944 0.6720
O: 0.3280 0.7491 0.4056
O: 0.0944 0.6720 0.2491
O: 0.4056 0.3280 0.7491
O: 0.9056 0.1720 0.2509
O: 0.4558 0.2987 0.2309
O: 0.2309 0.4558 0.2987
O: 0.2987 0.2309 0.4558
O: 0.2013 0.7691 0.9558
O: 0.7309 0.0442 0.7013
O: 0.7013 0.7309 0.0442
O: 0.2691 0.5442 0.7987
O: 0.8273 0.0170 0.4400

electronic total energy = -0.2671 hartree per atom

***

[2]
VASP calculation (GGA+U) on a relaxed structure of Mn3Zn9P8O32.

Unit cell a=5.1265 b=11.5856 c=11.5928 alpha=96.87 beta=93.18 gamma=93.45
Element x y z (fractional)
Mn: 0.0000 0.5000 0.0000
Mn: 0.5000 0.0000 0.0000
Mn: 0.5000 0.5000 0.5000
Zn: 0.4206 0.1212 0.7571
Zn: 0.4211 0.6215 0.2574
Zn: 0.9216 0.7580 0.6214
Zn: 0.9207 0.2573 0.1216
Zn: 0.5794 0.8788 0.2429
Zn: 0.5789 0.3785 0.7426
Zn: 0.0784 0.2420 0.3786
Zn: 0.0793 0.7427 0.8784
Zn: 0.0000 0.0000 0.5000
P: 0.4686 0.8049 0.4963
P: 0.4662 0.3031 0.9967
P: 0.9660 0.9967 0.8022
P: 0.9663 0.4968 0.3032
P: 0.5314 0.1951 0.5037
P: 0.5338 0.6969 0.0033
P: 0.0340 0.0033 0.1978
P: 0.0337 0.5032 0.6968
O: 0.5675 0.6954 0.5496
O: 0.5677 0.1940 0.0495
O: 0.0676 0.0491 0.6923
O: 0.0680 0.5496 0.1940
O: 0.4325 0.3046 0.4504
O: 0.4323 0.8060 0.9505
O: 0.9324 0.9509 0.3077
O: 0.9320 0.4504 0.8060
O: 0.4534 0.7791 0.3605
O: 0.4529 0.2788 0.8606
O: 0.9526 0.8604 0.7788
O: 0.9528 0.3604 0.2790
O: 0.5466 0.2209 0.6395
O: 0.5471 0.7212 0.1394
O: 0.0474 0.1396 0.2212
O: 0.0472 0.6396 0.7210
O: 0.1899 0.8326 0.5335
O: 0.1877 0.3302 0.0336
O: 0.6878 0.0336 0.8301
O: 0.6876 0.5335 0.3303
O: 0.8101 0.1674 0.4665
O: 0.8123 0.6698 0.9664
O: 0.3122 0.9664 0.1699
O: 0.3124 0.4665 0.6697
O: 0.6714 0.9071 0.5396
O: 0.6644 0.4055 0.0408
O: 0.1641 0.0408 0.9044
O: 0.1644 0.5407 0.4054
O: 0.3286 0.0929 0.4604
O: 0.3356 0.5945 0.9592
O: 0.8359 0.9592 0.0956
O: 0.8356 0.4593 0.5946

electronic total energy = -0.2396 hartree per atom

***

[3]
VASP calculation (GGA+U) on a relaxed structure of LiFe5O8.

Unit cell a=8.4141 b=8.3766 c=16.7657 alpha=90.21 beta=90.23 gamma=90.07
Element x y z (fractional)
Li: 0.1271 0.6225 0.0628
Li: 0.1228 0.6304 0.5648
Li: 0.1244 0.8712 0.6845
Li: 0.1321 0.1222 0.3161
Li: 0.3688 0.1233 0.4363
Li: 0.3730 0.1246 0.9349
Li: 0.6237 0.6271 0.3139
Li: 0.6219 0.6248 0.8118
Fe: 0.0068 0.5068 0.2542
Fe: 0.0042 0.4987 0.7496
Fe: 0.1261 0.3713 0.4392
Fe: 0.1268 0.8715 0.1899
Fe: 0.1297 0.3739 0.9363
Fe: 0.1271 0.1258 0.8117
Fe: 0.2461 0.7421 0.3737
Fe: 0.2485 0.7447 0.8733
Fe: 0.2490 0.2501 0.1253
Fe: 0.2471 0.2470 0.6245
Fe: 0.3680 0.8718 0.0590
Fe: 0.3647 0.8779 0.5613
Fe: 0.3742 0.6244 0.1882
Fe: 0.3724 0.6269 0.6886
Fe: 0.3770 0.3707 0.3182
Fe: 0.3770 0.3730 0.8126
Fe: 0.4947 0.5066 0.9985
Fe: 0.5045 0.5043 0.5015
Fe: 0.5028 0.0030 0.2523
Fe: 0.5004 0.0065 0.7509
Fe: 0.6220 0.8736 0.9354
Fe: 0.6209 0.8771 0.4356
Fe: 0.6192 0.1273 0.0593
Fe: 0.6261 0.1274 0.5634
Fe: 0.6236 0.3823 0.1911
Fe: 0.6268 0.3740 0.6880
Fe: 0.7446 0.7456 0.1242
Fe: 0.7479 0.7457 0.6250
Fe: 0.7468 0.2432 0.3765
Fe: 0.7463 0.2453 0.8720
Fe: 0.8748 0.6258 0.9363
Fe: 0.8750 0.6223 0.4380
Fe: 0.8826 0.3780 0.0624
Fe: 0.8732 0.3748 0.5634
Fe: 0.8752 0.8736 0.3132
Fe: 0.8763 0.8722 0.8080
Fe: 0.8792 0.1249 0.1926
Fe: 0.8768 0.1259 0.6863
Fe: 0.0038 0.0072 0.4994
Fe: 0.0030 0.0054 0.9978
O: 0.1136 0.6065 0.4380
O: 0.1151 0.6082 0.9371
O: 0.1317 0.8751 0.0650
O: 0.1335 0.8806 0.5626
O: 0.1188 0.3719 0.0538
O: 0.1067 0.3684 0.5574
O: 0.1082 0.8745 0.3093
O: 0.1420 0.6313 0.1865
O: 0.1341 0.6225 0.6879
O: 0.1156 0.8928 0.8157
O: 0.1255 0.1442 0.4369
O: 0.1246 0.1405 0.9296
O: 0.1150 0.1148 0.1877
O: 0.1068 0.1334 0.6948
O: 0.1334 0.3738 0.3187
O: 0.1392 0.3625 0.8181
O: 0.3754 0.6338 0.0716
O: 0.3744 0.6333 0.5682
O: 0.3840 0.8732 0.4401
O: 0.3885 0.8699 0.9407
O: 0.3677 0.8624 0.1847
O: 0.3794 0.8668 0.6855
O: 0.3845 0.1152 0.0629
O: 0.3789 0.3800 0.4329
O: 0.3949 0.1199 0.5656
O: 0.3630 0.3782 0.9301
O: 0.3751 0.6154 0.3040
O: 0.3768 0.6057 0.8094
O: 0.3778 0.1388 0.3109
O: 0.3598 0.1404 0.8103
O: 0.3813 0.3874 0.1906
O: 0.3907 0.3770 0.6929
O: 0.6169 0.8820 0.0553
O: 0.6220 0.8922 0.5596
O: 0.6342 0.6392 0.9378
O: 0.6386 0.6357 0.4380
O: 0.6245 0.1106 0.9398
O: 0.6293 0.1157 0.4477
O: 0.6102 0.6165 0.1865
O: 0.6205 0.6056 0.6882
O: 0.6426 0.8766 0.3165
O: 0.6339 0.8824 0.8199
O: 0.6316 0.3689 0.0651
O: 0.6371 0.3636 0.5699
O: 0.6191 0.3748 0.3080
O: 0.6117 0.3676 0.8052
O: 0.6354 0.1362 0.1819
O: 0.6403 0.1379 0.6819
O: 0.8725 0.8670 0.4312
O: 0.8612 0.8690 0.9338
O: 0.8753 0.6144 0.0586
O: 0.8736 0.6072 0.5598
O: 0.8717 0.6401 0.3159
O: 0.8747 0.6342 0.8160
O: 0.8651 0.1337 0.0662
O: 0.8621 0.1396 0.5689
O: 0.8848 0.3795 0.9392
O: 0.8680 0.3821 0.4442
O: 0.8808 0.8782 0.1929
O: 0.8694 0.8932 0.6905
O: 0.8686 0.3711 0.1845
O: 0.8631 0.3616 0.6824
O: 0.8714 0.1099 0.3082
O: 0.8887 0.1206 0.8052

electronic total energy = -0.2376 hartree per atom

***

[4]
VASP calculation (GGA+U) on a relaxed structure of Sr2MgZnMoO6.

Unit cell a=5.7899 b=6.4173 c=6.4173 alpha=52.06 beta=63.18 gamma=63.18
Element x y z (fractional)
Sr: 0.1762 0.3238 0.3238
Sr: 0.8238 0.6762 0.6762
Mg: 0.5000 0.0000 0.0000
Zn: 0.5000 0.5000 0.5000
Mo: 0.0000 0.0000 0.0000
O: 0.2064 0.7936 0.7936
O: 0.2588 0.7465 0.2535
O: 0.7412 0.2535 0.7465
O: 0.2588 0.2535 0.7465
O: 0.7936 0.2064 0.2064
O: 0.7412 0.7465 0.2535

electronic total energy = -0.2167 hartree per atom

***

[5]
VASP calculation (GGA+U) on a relaxed structure of Li4V3P8O29.

Unit cell a=9.7413 b=9.7858 c=14.1630 alpha=89.97 beta=90.09 gamma=119.62
Element x y z (fractional)
Li: 0.7763 0.0836 0.0589
Li: 0.3302 0.0952 0.5552
Li: 0.9095 0.6784 0.0594
Li: 0.7651 0.6658 0.5563
Li: 0.0905 0.3184 0.9446
Li: 0.6726 0.9087 0.4404
Li: 0.2213 0.9173 0.9428
Li: 0.0372 0.0540 0.4919
V: 0.4303 0.4326 0.2472
V: 0.5655 0.5652 0.7549
V: 0.9960 0.4314 0.7391
V: 0.0040 0.5660 0.2609
V: 0.5660 0.0001 0.2476
V: 0.4331 0.9999 0.7512
P: 0.7739 0.0917 0.8383
P: 0.9149 0.2192 0.3418
P: 0.3122 0.0895 0.3401
P: 0.6737 0.3394 0.1327
P: 0.6622 0.3362 0.6287
P: 0.3146 0.2304 0.8447
P: 0.2279 0.3083 0.6591
P: 0.9130 0.6783 0.8422
P: 0.0866 0.3187 0.1593
P: 0.7684 0.6851 0.3418
P: 0.6852 0.7697 0.1578
P: 0.3401 0.6664 0.3705
P: 0.3242 0.6614 0.8672
P: 0.6845 0.9087 0.6586
P: 0.0838 0.7777 0.6599
P: 0.2246 0.9060 0.1614
O: 0.7696 0.9776 0.5685
O: 0.7408 0.0835 0.3364
O: 0.9999 0.2464 0.0692
O: 0.9206 0.2593 0.8316
O: 0.6201 0.0996 0.8179
O: 0.6713 0.1855 0.1680
O: 0.4671 0.0863 0.3299
O: 0.2303 0.9826 0.0698
O: 0.3372 0.0842 0.8430
O: 0.8106 0.3296 0.6732
O: 0.9196 0.3806 0.3331
O: 0.5099 0.1891 0.6645
O: 0.6800 0.3535 0.0281
O: 0.6754 0.3531 0.5242
O: 0.5270 0.3417 0.1782
O: 0.9059 0.5210 0.8193
O: 0.8218 0.4831 0.1799
O: 0.3422 0.2599 0.3269
O: 0.2065 0.2065 0.7526
O: 0.2125 0.2074 0.5761
O: 0.2350 0.2444 0.9297
O: 0.4770 0.3805 0.8239
O: 0.6734 0.4890 0.6740
O: 0.2550 0.3420 0.1628
O: 0.6136 0.5297 0.3286
O: 0.9114 0.6557 0.3363
O: 0.9920 0.2017 0.2446
O: 0.9970 0.1999 0.4243
O: 0.9897 0.7851 0.5793
O: 0.0893 0.3449 0.6634
O: 0.3861 0.4623 0.6700
O: 0.7446 0.6562 0.8353
O: 0.3326 0.5186 0.3210
O: 0.5248 0.6192 0.1753
O: 0.7741 0.7612 0.0757
O: 0.7740 0.7706 0.4315
O: 0.7883 0.7966 0.2544
O: 0.6575 0.7373 0.6680
O: 0.1781 0.5154 0.8219
O: 0.0939 0.4768 0.1814
O: 0.4721 0.6582 0.8204
O: 0.3240 0.6514 0.9718
O: 0.3332 0.6570 0.4749
O: 0.4916 0.8137 0.3332
O: 0.0838 0.6185 0.6691
O: 0.1897 0.6705 0.3268
O: 0.6626 0.9162 0.1571
O: 0.7933 0.9988 0.7498
O: 0.7674 0.0165 0.9305
O: 0.5284 0.9089 0.6719
O: 0.3269 0.8143 0.8305
O: 0.3786 0.8995 0.1810
O: 0.0793 0.7376 0.1674
O: 0.9964 0.7498 0.9333
O: 0.0122 0.7982 0.7588
O: 0.2560 0.9166 0.6608
O: 0.2241 0.0230 0.4302
O: 0.2029 0.9963 0.2501

electronic total energy = -0.2589 hartree per atom

***

[6]
VASP calculation (GGA+U) on a relaxed structure of Mn2OF3.

Unit cell a=5.8097 b=5.8097 c=5.8097 alpha=71.48 beta=106.12 gamma=66.13
Element x y z (fractional)
Mn: 0.7500 0.7500 0.5000
Mn: 0.2500 0.2500 0.5000
Mn: 0.0000 0.9625 0.0375
Mn: 0.5000 0.5375 0.9625
O: 0.5000 0.8369 0.6631
O: 0.0000 0.6631 0.3369
F: 0.5456 0.2500 0.7956
F: 0.0456 0.7500 0.7956
F: 0.0000 0.2825 0.7175
F: 0.5000 0.2175 0.2825
F: 0.4544 0.7500 0.2044
F: 0.9544 0.2500 0.2044

electronic total energy = -0.2416 hartree per atom

***

[7]
VASP calculation (GGA+U) on a relaxed structure of CaMnBiO5.

Unit cell a=5.8547 b=8.2931 c=11.7458 alpha=90.00 beta=90.00 gamma=111.38
Element x y z (fractional)
Ca: 0.6391 0.1916 0.9132
Ca: 0.3609 0.8084 0.0868
Ca: 0.8609 0.3084 0.4132
Ca: 0.1391 0.6916 0.5868
Mn: 0.7983 0.9724 0.6467
Mn: 0.2017 0.0276 0.3533
Mn: 0.7017 0.5276 0.1467
Mn: 0.2983 0.4724 0.8533
Bi: 0.1320 0.1638 0.0971
Bi: 0.8680 0.8362 0.9029
Bi: 0.6320 0.6638 0.4029
Bi: 0.3680 0.3362 0.5971
O: 0.5628 0.3330 0.0794
O: 0.0708 0.3326 0.9363
O: 0.4929 0.6177 0.1856
O: 0.7413 0.5114 0.5260
O: 0.8045 0.5031 0.2818
O: 0.3045 0.0031 0.2182
O: 0.5708 0.8326 0.5637
O: 0.4292 0.1674 0.4363
O: 0.2587 0.4886 0.4740
O: 0.9372 0.1670 0.5794
O: 0.1955 0.4969 0.7182
O: 0.4372 0.6670 0.9206
O: 0.0628 0.8330 0.4206
O: 0.6955 0.9969 0.7818
O: 0.7587 0.9886 0.0260
O: 0.2413 0.0114 0.9740
O: 0.5071 0.3823 0.8144
O: 0.9292 0.6674 0.0637
O: 0.0071 0.8823 0.6856
O: 0.9929 0.1177 0.3144

electronic total energy = -0.2350 hartree per atom

***

[8]
VASP calculation (GGA+U) on a relaxed structure of Cu3Ni4O12.

Unit cell a=6.3041 b=6.3041 c=6.3041 alpha=109.47 beta=109.47 gamma=109.47
Element x y z (fractional)
Cu: 0.5000 0.0000 0.5000
Cu: 0.5000 0.5000 0.0000
Cu: 0.0000 0.5000 0.5000
Ni: 0.0000 0.5000 0.0000
Ni: 0.5000 0.0000 0.0000
Ni: 0.5000 0.5000 0.5000
Ni: 0.0000 0.0000 0.5000
O: 0.3193 0.1451 0.8259
O: 0.6807 0.8549 0.1741
O: 0.6807 0.5066 0.8259
O: 0.4934 0.1741 0.3193
O: 0.1741 0.3193 0.4934
O: 0.8259 0.3193 0.1451
O: 0.8549 0.1741 0.6807
O: 0.8259 0.6807 0.5066
O: 0.3193 0.4934 0.1741
O: 0.5066 0.8259 0.6807
O: 0.1741 0.6807 0.8549
O: 0.1451 0.8259 0.3193

electronic total energy = -0.1744 hartree per atom